(1)
{
  "formula": "CsTiH24S2O20",
  "functional": "GGA-PBE",
  "state": "optimized geometry",
  "lattice": [[-10.0925, -8.5141, -1.9600], [8.5672, -9.0572, -4.7708], [1.7131, -4.8650, 12.3121]],
  "species": ["Cs", "Cs", "Cs", "Cs", "Ti", "Ti", "Ti", "Ti", "H", "H", "H", "H", "H", "H", "H", "H", "H", "H", "H", "H", "H", "H", "H", "H", "H", "H", "H", "H", "H", "H", "H", "H", "H", "H", "H", "H", "H", "H", "H", "H", "H", "H", "H", "H", "H", "H", "H", "H", "H", "H", "H", "H", "H", "H", "H", "H", "H", "H", "H", "H", "H", "H", "H", "H", "H", "H", "H", "H", "H", "H", "H", "H", "H", "H", "H", "H", "H", "H", "H", "H", "H", "H", "H", "H", "H", "H", "H", "H", "H", "H", "H", "H", "H", "H", "H", "H", "H", "H", "H", "H", "H", "H", "H", "H", "S", "S", "S", "S", "S", "S", "S", "S", "O", "O", "O", "O", "O", "O", "O", "O", "O", "O", "O", "O", "O", "O", "O", "O", "O", "O", "O", "O", "O", "O", "O", "O", "O", "O", "O", "O", "O", "O", "O", "O", "O", "O", "O", "O", "O", "O", "O", "O", "O", "O", "O", "O", "O", "O", "O", "O", "O", "O", "O", "O", "O", "O", "O", "O", "O", "O", "O", "O", "O", "O", "O", "O", "O", "O", "O", "O", "O", "O", "O", "O", "O", "O", "O", "O", "O", "O", "O", "O"],
  "fractional_positions": [[0.0000, 0.0000, 0.5000], [0.0000, 0.5000, 0.0000], [0.5000, 0.0000, 0.0000], [0.5000, 0.5000, 0.5000], [0.5000, 0.5000, 0.0000], [0.5000, 0.0000, 0.5000], [0.0000, 0.5000, 0.5000], [0.0000, 0.0000, 0.0000], [0.3207, 0.0891, 0.2145], [0.6793, 0.5891, 0.2855], [0.1793, 0.9109, 0.7145], [0.8207, 0.4109, 0.7855], [0.2145, 0.3207, 0.0891], [0.2855, 0.6793, 0.5891], [0.7145, 0.1793, 0.9109], [0.7855, 0.8207, 0.4109], [0.0891, 0.2145, 0.3207], [0.5891, 0.2855, 0.6793], [0.9109, 0.7145, 0.1793], [0.4109, 0.7855, 0.8207], [0.6793, 0.9109, 0.7855], [0.3207, 0.4109, 0.7145], [0.8207, 0.0891, 0.2855], [0.1793, 0.5891, 0.2145], [0.7855, 0.6793, 0.9109], [0.7145, 0.3207, 0.4109], [0.2855, 0.8207, 0.0891], [0.2145, 0.1793, 0.5891], [0.9109, 0.7855, 0.6793], [0.4109, 0.7145, 0.3207], [0.0891, 0.2855, 0.8207], [0.5891, 0.2145, 0.1793], [0.5346, 0.2266, 0.1878], [0.4654, 0.7266, 0.3122], [0.9654, 0.7734, 0.6878], [0.0346, 0.2734, 0.8122], [0.1878, 0.5346, 0.2266], [0.3122, 0.4654, 0.7266], [0.6878, 0.9654, 0.7734], [0.8122, 0.0346, 0.2734], [0.2266, 0.1878, 0.5346], [0.7266, 0.3122, 0.4654], [0.7734, 0.6878, 0.9654], [0.2734, 0.8122, 0.0346], [0.4654, 0.7734, 0.8122], [0.5346, 0.2734, 0.6878], [0.0346, 0.2266, 0.3122], [0.9654, 0.7266, 0.1878], [0.8122, 0.4654, 0.7734], [0.6878, 0.5346, 0.2734], [0.3122, 0.0346, 0.2266], [0.1878, 0.9654, 0.7266], [0.7734, 0.8122, 0.4654], [0.2734, 0.6878, 0.5346], [0.2266, 0.3122, 0.0346], [0.7266, 0.1878, 0.9654], [0.9850, 0.2019, 0.0505], [0.0150, 0.7019, 0.4495], [0.5150, 0.7981, 0.5505], [0.4850, 0.2981, 0.9495], [0.0505, 0.9850, 0.2019], [0.4495, 0.0150, 0.7019], [0.5505, 0.5150, 0.7981], [0.9495, 0.4850, 0.2981], [0.2019, 0.0505, 0.9850], [0.7019, 0.4495, 0.0150], [0.7981, 0.5505, 0.5150], [0.2981, 0.9495, 0.4850], [0.0150, 0.7981, 0.9495], [0.9850, 0.2981, 0.5505], [0.4850, 0.2019, 0.4495], [0.5150, 0.7019, 0.0505], [0.9495, 0.0150, 0.7981], [0.5505, 0.9850, 0.2981], [0.4495, 0.4850, 0.2019], [0.0505, 0.5150, 0.7019], [0.7981, 0.9495, 0.0150], [0.2981, 0.5505, 0.9850], [0.2019, 0.4495, 0.4850], [0.7019, 0.0505, 0.5150], [0.9362, 0.0201, 0.1968], [0.0638, 0.5201, 0.3032], [0.5638, 0.9799, 0.6968], [0.4362, 0.4799, 0.8032], [0.1968, 0.9362, 0.0201], [0.3032, 0.0638, 0.5201], [0.6968, 0.5638, 0.9799], [0.8032, 0.4362, 0.4799], [0.0201, 0.1968, 0.9362], [0.5201, 0.3032, 0.0638], [0.9799, 0.6968, 0.5638], [0.4799, 0.8032, 0.4362], [0.0638, 0.9799, 0.8032], [0.9362, 0.4799, 0.6968], [0.4362, 0.0201, 0.3032], [0.5638, 0.5201, 0.1968], [0.8032, 0.0638, 0.9799], [0.6968, 0.9362, 0.4799], [0.3032, 0.4362, 0.0201], [0.1968, 0.5638, 0.5201], [0.9799, 0.8032, 0.0638], [0.4799, 0.6968, 0.9362], [0.0201, 0.3032, 0.4362], [0.5201, 0.1968, 0.5638], [0.1740, 0.8260, 0.3260], [0.8260, 0.3260, 0.1740], [0.3260, 0.1740, 0.8260], [0.6740, 0.6740, 0.6740], [0.8260, 0.1740, 0.6740], [0.1740, 0.6740, 0.8260], [0.6740, 0.8260, 0.1740], [0.3260, 0.3260, 0.3260], [0.2363, 0.7637, 0.2637], [0.7637, 0.2637, 0.2363], [0.2637, 0.2363, 0.7637], [0.7363, 0.7363, 0.7363], [0.7637, 0.2363, 0.7363], [0.2363, 0.7363, 0.7637], [0.7363, 0.7637, 0.2363], [0.2637, 0.2637, 0.2637], [0.0502, 0.7632, 0.3388], [0.9498, 0.2632, 0.1612], [0.4498, 0.2368, 0.8388], [0.5502, 0.7368, 0.6612], [0.3388, 0.0502, 0.7632], [0.1612, 0.9498, 0.2632], [0.8388, 0.4498, 0.2368], [0.6612, 0.5502, 0.7368], [0.7632, 0.3388, 0.0502], [0.2632, 0.1612, 0.9498], [0.2368, 0.8388, 0.4498], [0.7368, 0.6612, 0.5502], [0.9498, 0.2368, 0.6612], [0.0502, 0.7368, 0.8388], [0.5502, 0.7632, 0.1612], [0.4498, 0.2632, 0.3388], [0.6612, 0.9498, 0.2368], [0.8388, 0.0502, 0.7368], [0.1612, 0.5502, 0.7632], [0.3388, 0.4498, 0.2632], [0.2368, 0.6612, 0.9498], [0.7368, 0.8388, 0.0502], [0.7632, 0.1612, 0.5502], [0.2632, 0.3388, 0.4498], [0.1790, 0.6345, 0.0318], [0.8210, 0.1345, 0.4682], [0.3210, 0.3655, 0.5318], [0.6790, 0.8655, 0.9682], [0.0318, 0.1790, 0.6345], [0.4682, 0.8210, 0.1345], [0.5318, 0.3210, 0.3655], [0.9682, 0.6790, 0.8655], [0.6345, 0.0318, 0.1790], [0.1345, 0.4682, 0.8210], [0.3655, 0.5318, 0.3210], [0.8655, 0.9682, 0.6790], [0.8210, 0.3655, 0.9682], [0.1790, 0.8655, 0.5318], [0.6790, 0.6345, 0.4682], [0.3210, 0.1345, 0.0318], [0.9682, 0.8210, 0.3655], [0.5318, 0.1790, 0.8655], [0.4682, 0.6790, 0.6345], [0.0318, 0.3210, 0.1345], [0.3655, 0.9682, 0.8210], [0.8655, 0.5318, 0.1790], [0.6345, 0.4682, 0.6790], [0.1345, 0.0318, 0.3210], [0.5018, 0.6559, 0.9928], [0.4982, 0.1559, 0.5072], [0.9982, 0.3441, 0.4928], [0.0018, 0.8441, 0.0072], [0.9928, 0.5018, 0.6559], [0.5072, 0.4982, 0.1559], [0.4928, 0.9982, 0.3441], [0.0072, 0.0018, 0.8441], [0.6559, 0.9928, 0.5018], [0.1559, 0.5072, 0.4982], [0.3441, 0.4928, 0.9982], [0.8441, 0.0072, 0.0018], [0.4982, 0.3441, 0.0072], [0.5018, 0.8441, 0.4928], [0.0018, 0.6559, 0.5072], [0.9982, 0.1559, 0.9928], [0.0072, 0.4982, 0.3441], [0.4928, 0.5018, 0.8441], [0.5072, 0.0018, 0.6559], [0.9928, 0.9982, 0.1559], [0.3441, 0.0072, 0.4982], [0.8441, 0.4928, 0.5018], [0.6559, 0.5072, 0.0018], [0.1559, 0.9928, 0.9982]],
  "e_form_mev_per_atom": -761,
  "relative_energy_mev_per_atom": 766
}

---

(2)
{
  "formula": "CsTiH24S2O20",
  "functional": "GGA-PBE",
  "state": "optimized geometry",
  "lattice": [[-5.9557, 0.9924, -11.0461], [-6.4258, -10.5279, 2.5188], [-9.0394, 6.8301, 5.4874]],
  "species": ["Cs", "Cs", "Cs", "Cs", "Ti", "Ti", "Ti", "Ti", "H", "H", "H", "H", "H", "H", "H", "H", "H", "H", "H", "H", "H", "H", "H", "H", "H", "H", "H", "H", "H", "H", "H", "H", "H", "H", "H", "H", "H", "H", "H", "H", "H", "H", "H", "H", "H", "H", "H", "H", "H", "H", "H", "H", "H", "H", "H", "H", "H", "H", "H", "H", "H", "H", "H", "H", "H", "H", "H", "H", "H", "H", "H", "H", "H", "H", "H", "H", "H", "H", "H", "H", "H", "H", "H", "H", "H", "H", "H", "H", "H", "H", "H", "H", "H", "H", "H", "H", "H", "H", "H", "H", "H", "H", "H", "H", "S", "S", "S", "S", "S", "S", "S", "S", "O", "O", "O", "O", "O", "O", "O", "O", "O", "O", "O", "O", "O", "O", "O", "O", "O", "O", "O", "O", "O", "O", "O", "O", "O", "O", "O", "O", "O", "O", "O", "O", "O", "O", "O", "O", "O", "O", "O", "O", "O", "O", "O", "O", "O", "O", "O", "O", "O", "O", "O", "O", "O", "O", "O", "O", "O", "O", "O", "O", "O", "O", "O", "O", "O", "O", "O", "O", "O", "O", "O", "O", "O", "O", "O", "O", "O", "O", "O", "O"],
  "fractional_positions": [[0.0000, 0.0000, 0.5000], [0.0000, 0.5000, 0.0000], [0.5000, 0.0000, 0.0000], [0.5000, 0.5000, 0.5000], [0.5000, 0.5000, 0.0000], [0.5000, 0.0000, 0.5000], [0.0000, 0.5000, 0.5000], [0.0000, 0.0000, 0.0000], [0.2196, 0.5093, 0.2314], [0.7804, 0.0093, 0.2686], [0.2804, 0.4907, 0.7314], [0.7196, 0.9907, 0.7686], [0.2314, 0.2196, 0.5093], [0.2686, 0.7804, 0.0093], [0.7314, 0.2804, 0.4907], [0.7686, 0.7196, 0.9907], [0.5093, 0.2314, 0.2196], [0.0093, 0.2686, 0.7804], [0.4907, 0.7314, 0.2804], [0.9907, 0.7686, 0.7196], [0.7804, 0.4907, 0.7686], [0.2196, 0.9907, 0.7314], [0.7196, 0.5093, 0.2686], [0.2804, 0.0093, 0.2314], [0.7686, 0.7804, 0.4907], [0.7314, 0.2196, 0.9907], [0.2686, 0.7196, 0.5093], [0.2314, 0.2804, 0.0093], [0.4907, 0.7686, 0.7804], [0.9907, 0.7314, 0.2196], [0.5093, 0.2686, 0.7196], [0.0093, 0.2314, 0.2804], [0.1813, 0.6271, 0.2230], [0.8187, 0.1271, 0.2770], [0.3187, 0.3729, 0.7230], [0.6813, 0.8729, 0.7770], [0.2230, 0.1813, 0.6271], [0.2770, 0.8187, 0.1271], [0.7230, 0.3187, 0.3729], [0.7770, 0.6813, 0.8729], [0.6271, 0.2230, 0.1813], [0.1271, 0.2770, 0.8187], [0.3729, 0.7230, 0.3187], [0.8729, 0.7770, 0.6813], [0.8187, 0.3729, 0.7770], [0.1813, 0.8729, 0.7230], [0.6813, 0.6271, 0.2770], [0.3187, 0.1271, 0.2230], [0.7770, 0.8187, 0.3729], [0.7230, 0.1813, 0.8729], [0.2770, 0.6813, 0.6271], [0.2230, 0.3187, 0.1271], [0.3729, 0.7770, 0.8187], [0.8729, 0.7230, 0.1813], [0.6271, 0.2770, 0.6813], [0.1271, 0.2230, 0.3187], [0.4770, 0.7090, 0.9374], [0.5230, 0.2090, 0.5626], [0.0230, 0.2910, 0.4374], [0.9770, 0.7910, 0.0626], [0.9374, 0.4770, 0.7090], [0.5626, 0.5230, 0.2090], [0.4374, 0.0230, 0.2910], [0.0626, 0.9770, 0.7910], [0.7090, 0.9374, 0.4770], [0.2090, 0.5626, 0.5230], [0.2910, 0.4374, 0.0230], [0.7910, 0.0626, 0.9770], [0.5230, 0.2910, 0.0626], [0.4770, 0.7910, 0.4374], [0.9770, 0.7090, 0.5626], [0.0230, 0.2090, 0.9374], [0.0626, 0.5230, 0.2910], [0.4374, 0.4770, 0.7910], [0.5626, 0.9770, 0.7090], [0.9374, 0.0230, 0.2090], [0.2910, 0.0626, 0.5230], [0.7910, 0.4374, 0.4770], [0.7090, 0.5626, 0.9770], [0.2090, 0.9374, 0.0230], [0.5256, 0.7063, 0.0602], [0.4744, 0.2063, 0.4398], [0.9744, 0.2937, 0.5602], [0.0256, 0.7937, 0.9398], [0.0602, 0.5256, 0.7063], [0.4398, 0.4744, 0.2063], [0.5602, 0.9744, 0.2937], [0.9398, 0.0256, 0.7937], [0.7063, 0.0602, 0.5256], [0.2063, 0.4398, 0.4744], [0.2937, 0.5602, 0.9744], [0.7937, 0.9398, 0.0256], [0.4744, 0.2937, 0.9398], [0.5256, 0.7937, 0.5602], [0.0256, 0.7063, 0.4398], [0.9744, 0.2063, 0.0602], [0.9398, 0.4744, 0.2937], [0.5602, 0.5256, 0.7937], [0.4398, 0.0256, 0.7063], [0.0602, 0.9744, 0.2063], [0.2937, 0.9398, 0.4744], [0.7937, 0.5602, 0.5256], [0.7063, 0.4398, 0.0256], [0.2063, 0.0602, 0.9744], [0.1728, 0.8272, 0.3272], [0.8272, 0.3272, 0.1728], [0.3272, 0.1728, 0.8272], [0.6728, 0.6728, 0.6728], [0.8272, 0.1728, 0.6728], [0.1728, 0.6728, 0.8272], [0.6728, 0.8272, 0.1728], [0.3272, 0.3272, 0.3272], [0.2416, 0.7584, 0.2584], [0.7584, 0.2584, 0.2416], [0.2584, 0.2416, 0.7584], [0.7416, 0.7416, 0.7416], [0.7584, 0.2416, 0.7416], [0.2416, 0.7416, 0.7584], [0.7416, 0.7584, 0.2416], [0.2584, 0.2584, 0.2584], [0.0647, 0.7789, 0.3368], [0.9353, 0.2789, 0.1632], [0.4353, 0.2211, 0.8368], [0.5647, 0.7211, 0.6632], [0.3368, 0.0647, 0.7789], [0.1632, 0.9353, 0.2789], [0.8368, 0.4353, 0.2211], [0.6632, 0.5647, 0.7211], [0.7789, 0.3368, 0.0647], [0.2789, 0.1632, 0.9353], [0.2211, 0.8368, 0.4353], [0.7211, 0.6632, 0.5647], [0.9353, 0.2211, 0.6632], [0.0647, 0.7211, 0.8368], [0.5647, 0.7789, 0.1632], [0.4353, 0.2789, 0.3368], [0.6632, 0.9353, 0.2211], [0.8368, 0.0647, 0.7211], [0.1632, 0.5647, 0.7789], [0.3368, 0.4353, 0.2789], [0.2211, 0.6632, 0.9353], [0.7211, 0.8368, 0.0647], [0.7789, 0.1632, 0.5647], [0.2789, 0.3368, 0.4353], [0.1572, 0.5530, 0.2126], [0.8428, 0.0530, 0.2874], [0.3428, 0.4470, 0.7126], [0.6572, 0.9470, 0.7874], [0.2126, 0.1572, 0.5530], [0.2874, 0.8428, 0.0530], [0.7126, 0.3428, 0.4470], [0.7874, 0.6572, 0.9470], [0.5530, 0.2126, 0.1572], [0.0530, 0.2874, 0.8428], [0.4470, 0.7126, 0.3428], [0.9470, 0.7874, 0.6572], [0.8428, 0.4470, 0.7874], [0.1572, 0.9470, 0.7126], [0.6572, 0.5530, 0.2874], [0.3428, 0.0530, 0.2126], [0.7874, 0.8428, 0.4470], [0.7126, 0.1572, 0.9470], [0.2874, 0.6572, 0.5530], [0.2126, 0.3428, 0.0530], [0.4470, 0.7874, 0.8428], [0.9470, 0.7126, 0.1572], [0.5530, 0.2874, 0.6572], [0.0530, 0.2126, 0.3428], [0.5001, 0.6622, 0.9992], [0.4999, 0.1622, 0.5008], [0.9999, 0.3378, 0.4992], [0.0001, 0.8378, 0.0008], [0.9992, 0.5001, 0.6622], [0.5008, 0.4999, 0.1622], [0.4992, 0.9999, 0.3378], [0.0008, 0.0001, 0.8378], [0.6622, 0.9992, 0.5001], [0.1622, 0.5008, 0.4999], [0.3378, 0.4992, 0.9999], [0.8378, 0.0008, 0.0001], [0.4999, 0.3378, 0.0008], [0.5001, 0.8378, 0.4992], [0.0001, 0.6622, 0.5008], [0.9999, 0.1622, 0.9992], [0.0008, 0.4999, 0.3378], [0.4992, 0.5001, 0.8378], [0.5008, 0.0001, 0.6622], [0.9992, 0.9999, 0.1622], [0.3378, 0.0008, 0.4999], [0.8378, 0.4992, 0.5001], [0.6622, 0.5008, 0.0001], [0.1622, 0.9992, 0.9999]],
  "e_form_mev_per_atom": -1527,
  "relative_energy_mev_per_atom": 0
}